Record 1
{
  "formula": "KPb",
  "functional": "PBE",
  "state": "optimized geometry",
  "space_group": "No. 142",
  "lattice_angstrom": [[-5.865, 5.865, 9.639], [5.865, -5.865, 9.639], [5.865, 5.865, -9.639]],
  "species": ["K", "K", "K", "K", "K", "K", "K", "K", "K", "K", "K", "K", "K", "K", "K", "K", "Pb", "Pb", "Pb", "Pb", "Pb", "Pb", "Pb", "Pb", "Pb", "Pb", "Pb", "Pb", "Pb", "Pb", "Pb", "Pb"],
  "fractional_positions": [[0.003, 0.253, 0.506], [0.119, 0.750, 0.869], [0.247, 0.497, 0.994], [0.250, 0.119, 0.869], [0.250, 0.619, 0.369], [0.253, 0.247, 0.250], [0.381, 0.250, 0.631], [0.497, 0.003, 0.250], [0.503, 0.997, 0.750], [0.619, 0.750, 0.369], [0.747, 0.753, 0.750], [0.750, 0.381, 0.631], [0.750, 0.881, 0.131], [0.753, 0.503, 0.006], [0.881, 0.250, 0.131], [0.997, 0.747, 0.494], [0.005, 0.697, 0.069], [0.064, 0.995, 0.192], [0.128, 0.936, 0.431], [0.197, 0.505, 0.569], [0.303, 0.872, 0.308], [0.372, 0.803, 0.808], [0.436, 0.628, 0.931], [0.495, 0.564, 0.692], [0.505, 0.436, 0.308], [0.564, 0.372, 0.069], [0.628, 0.197, 0.192], [0.697, 0.128, 0.692], [0.803, 0.495, 0.431], [0.872, 0.064, 0.569], [0.936, 0.005, 0.808], [0.995, 0.303, 0.931]]
}

***

Record 2
{
  "formula": "Ca2In4Au3",
  "functional": "PBE",
  "state": "optimized geometry",
  "magmom_total_mub_per_fu": 0.00,
  "space_group": "No. 62",
  "lattice_angstrom": [[14.955, 0.000, 0.000], [0.000, 4.507, 0.000], [0.000, 0.000, 12.987]],
  "species": ["Ca", "Ca", "Ca", "Ca", "Ca", "Ca", "Ca", "Ca", "In", "In", "In", "In", "In", "In", "In", "In", "In", "In", "In", "In", "In", "In", "In", "In", "Au", "Au", "Au", "Au", "Au", "Au", "Au", "Au", "Au", "Au", "Au", "Au"],
  "fractional_positions": [[0.020, 0.250, 0.213], [0.209, 0.750, 0.584], [0.291, 0.250, 0.084], [0.480, 0.750, 0.713], [0.520, 0.250, 0.287], [0.709, 0.750, 0.916], [0.791, 0.250, 0.416], [0.980, 0.750, 0.787], [0.005, 0.250, 0.587], [0.071, 0.250, 0.960], [0.181, 0.750, 0.284], [0.196, 0.750, 0.869], [0.304, 0.250, 0.369], [0.319, 0.250, 0.784], [0.429, 0.750, 0.460], [0.495, 0.750, 0.087], [0.505, 0.250, 0.913], [0.571, 0.250, 0.540], [0.681, 0.750, 0.216], [0.696, 0.750, 0.631], [0.804, 0.250, 0.131], [0.819, 0.250, 0.716], [0.929, 0.750, 0.040], [0.995, 0.750, 0.413], [0.122, 0.250, 0.418], [0.126, 0.750, 0.080], [0.129, 0.250, 0.746], [0.371, 0.750, 0.246], [0.374, 0.250, 0.580], [0.378, 0.750, 0.918], [0.622, 0.250, 0.082], [0.626, 0.750, 0.420], [0.629, 0.250, 0.754], [0.871, 0.750, 0.254], [0.874, 0.250, 0.920], [0.878, 0.750, 0.582]]
}

***

Record 3
{
  "formula": "NdSn2",
  "functional": "PBE",
  "state": "optimized geometry",
  "space_group": "No. 65",
  "lattice_angstrom": [[4.524, 0.000, 0.000], [0.000, 16.211, 0.000], [0.000, 0.000, 4.605]],
  "species": ["Nd", "Nd", "Nd", "Nd", "Sn", "Sn", "Sn", "Sn", "Sn", "Sn", "Sn", "Sn"],
  "fractional_positions": [[0.000, 0.145, 0.000], [0.000, 0.855, 0.000], [0.500, 0.355, 0.000], [0.500, 0.645, 0.000], [0.000, 0.000, 0.500], [0.000, 0.315, 0.500], [0.000, 0.500, 0.000], [0.000, 0.685, 0.500], [0.500, 0.000, 0.000], [0.500, 0.185, 0.500], [0.500, 0.500, 0.500], [0.500, 0.815, 0.500]]
}

***

Record 4
{
  "formula": "PrSnRu",
  "functional": "PBE",
  "state": "optimized geometry",
  "space_group": "No. 62",
  "lattice_angstrom": [[7.696, 0.000, 0.000], [0.000, 4.894, 0.000], [0.000, 0.000, 7.402]],
  "species": ["Pr", "Pr", "Pr", "Pr", "Sn", "Sn", "Sn", "Sn", "Ru", "Ru", "Ru", "Ru"],
  "fractional_positions": [[0.032, 0.250, 0.191], [0.468, 0.750, 0.691], [0.532, 0.250, 0.309], [0.968, 0.750, 0.809], [0.195, 0.250, 0.613], [0.305, 0.750, 0.113], [0.695, 0.250, 0.887], [0.805, 0.750, 0.387], [0.151, 0.750, 0.443], [0.349, 0.250, 0.943], [0.651, 0.750, 0.057], [0.849, 0.250, 0.557]]
}

***

Record 5
{
  "formula": "Na2Hf4Nb4Si7S5O48",
  "functional": "PBE",
  "state": "optimized geometry",
  "magmom_total_mub_per_fu": 0.00,
  "space_group": "No. 1",
  "lattice_angstrom": [[8.946, 0.000, 0.000], [0.002, 15.466, 0.000], [0.005, 0.427, 23.156]],
  "species": ["Na", "Na", "Na", "Na", "Na", "Na", "Hf", "Hf", "Hf", "Hf", "Hf", "Hf", "Hf", "Hf", "Hf", "Hf", "Hf", "Hf", "Nb", "Nb", "Nb", "Nb", "Nb", "Nb", "Nb", "Nb", "Nb", "Nb", "Nb", "Nb", "Si", "Si", "Si", "Si", "Si", "Si", "Si", "Si", "Si", "Si", "Si", "Si", "Si", "Si", "Si", "Si", "Si", "Si", "Si", "Si", "Si", "S", "S", "S", "S", "S", "S", "S", "S", "S", "S", "S", "S", "S", "S", "S", "O", "O", "O", "O", "O", "O", "O", "O", "O", "O", "O", "O", "O", "O", "O", "O", "O", "O", "O", "O", "O", "O", "O", "O", "O", "O", "O", "O", "O", "O", "O", "O", "O", "O", "O", "O", "O", "O", "O", "O", "O", "O", "O", "O", "O", "O", "O", "O", "O", "O", "O", "O", "O", "O", "O", "O", "O", "O", "O", "O", "O", "O", "O", "O", "O", "O", "O", "O", "O", "O", "O", "O", "O", "O", "O", "O", "O", "O", "O", "O", "O", "O", "O", "O", "O", "O", "O", "O", "O", "O", "O", "O", "O", "O", "O", "O", "O", "O", "O", "O", "O", "O", "O", "O", "O", "O", "O", "O", "O", "O", "O", "O", "O", "O", "O", "O", "O", "O", "O", "O", "O", "O", "O", "O", "O", "O", "O", "O", "O", "O", "O", "O", "O", "O", "O", "O", "O", "O", "O", "O", "O", "O", "O", "O"],
  "fractional_positions": [[0.000, 0.000, 0.000], [0.006, 0.332, 0.341], [0.018, 0.335, 0.837], [0.507, 0.831, 0.340], [0.519, 0.830, 0.840], [0.526, 0.499, 0.506], [0.004, 0.011, 0.860], [0.008, 0.341, 0.482], [0.008, 0.677, 0.811], [0.012, 0.344, 0.979], [0.019, 0.679, 0.314], [0.504, 0.180, 0.813], [0.511, 0.841, 0.481], [0.515, 0.842, 0.980], [0.516, 0.508, 0.649], [0.520, 0.181, 0.314], [0.520, 0.512, 0.361], [0.999, 0.008, 0.146], [0.000, 0.339, 0.188], [0.017, 0.014, 0.364], [0.028, 0.010, 0.643], [0.031, 0.348, 0.691], [0.032, 0.679, 0.024], [0.493, 0.181, 0.527], [0.493, 0.512, 0.860], [0.496, 0.510, 0.143], [0.498, 0.842, 0.187], [0.523, 0.839, 0.688], [0.532, 0.180, 0.025], [0.992, 0.680, 0.526], [0.145, 0.484, 0.084], [0.153, 0.151, 0.752], [0.158, 0.816, 0.418], [0.221, 0.845, 0.083], [0.225, 0.511, 0.752], [0.228, 0.179, 0.417], [0.299, 0.679, 0.916], [0.300, 0.347, 0.584], [0.368, 0.318, 0.918], [0.369, 0.651, 0.252], [0.378, 0.983, 0.584], [0.651, 0.985, 0.083], [0.653, 0.650, 0.752], [0.658, 0.318, 0.419], [0.722, 0.345, 0.084], [0.724, 0.677, 0.417], [0.800, 0.846, 0.585], [0.801, 0.176, 0.916], [0.867, 0.484, 0.584], [0.869, 0.817, 0.918], [0.870, 0.151, 0.252], [0.156, 0.197, 0.086], [0.156, 0.531, 0.419], [0.159, 0.866, 0.751], [0.298, 0.006, 0.253], [0.365, 0.366, 0.251], [0.367, 0.697, 0.585], [0.368, 0.032, 0.919], [0.656, 0.031, 0.418], [0.657, 0.697, 0.087], [0.661, 0.364, 0.753], [0.724, 0.006, 0.751], [0.800, 0.506, 0.251], [0.863, 0.865, 0.253], [0.864, 0.196, 0.587], [0.865, 0.532, 0.919], [0.069, 0.577, 0.075], [0.071, 0.245, 0.740], [0.075, 0.910, 0.404], [0.077, 0.104, 0.807], [0.082, 0.433, 0.143], [0.084, 0.236, 0.034], [0.085, 0.768, 0.475], [0.088, 0.443, 0.423], [0.090, 0.110, 0.094], [0.090, 0.781, 0.756], [0.092, 0.571, 0.366], [0.093, 0.909, 0.698], [0.109, 0.090, 0.695], [0.117, 0.259, 0.424], [0.117, 0.590, 0.763], [0.119, 0.928, 0.095], [0.120, 0.421, 0.746], [0.120, 0.757, 0.077], [0.125, 0.089, 0.409], [0.125, 0.251, 0.138], [0.129, 0.758, 0.361], [0.131, 0.422, 0.030], [0.131, 0.582, 0.470], [0.132, 0.919, 0.802], [0.190, 0.332, 0.926], [0.191, 0.660, 0.258], [0.194, 0.690, 0.861], [0.195, 0.328, 0.642], [0.195, 0.353, 0.528], [0.196, 0.661, 0.976], [0.197, 0.998, 0.598], [0.201, 0.355, 0.243], [0.203, 0.020, 0.912], [0.205, 0.689, 0.578], [0.205, 0.989, 0.305], [0.208, 0.016, 0.201], [0.318, 0.189, 0.079], [0.320, 0.520, 0.411], [0.323, 0.856, 0.743], [0.326, 0.498, 0.099], [0.328, 0.517, 0.695], [0.329, 0.855, 0.028], [0.330, 0.827, 0.142], [0.331, 0.161, 0.475], [0.331, 0.185, 0.360], [0.332, 0.159, 0.759], [0.332, 0.490, 0.810], [0.336, 0.834, 0.425], [0.392, 0.417, 0.302], [0.394, 0.082, 0.971], [0.394, 0.923, 0.529], [0.396, 0.258, 0.862], [0.396, 0.926, 0.247], [0.397, 0.081, 0.261], [0.397, 0.751, 0.637], [0.400, 0.589, 0.911], [0.401, 0.257, 0.577], [0.408, 0.760, 0.926], [0.410, 0.428, 0.591], [0.415, 0.592, 0.196], [0.432, 0.071, 0.866], [0.432, 0.407, 0.199], [0.433, 0.279, 0.257], [0.436, 0.611, 0.592], [0.436, 0.738, 0.533], [0.436, 0.944, 0.924], [0.438, 0.266, 0.975], [0.442, 0.933, 0.642], [0.448, 0.605, 0.307], [0.450, 0.747, 0.241], [0.454, 0.077, 0.574], [0.457, 0.409, 0.908], [0.566, 0.078, 0.074], [0.567, 0.747, 0.744], [0.572, 0.410, 0.412], [0.577, 0.601, 0.809], [0.583, 0.733, 0.035], [0.584, 0.934, 0.142], [0.588, 0.265, 0.476], [0.589, 0.609, 0.097], [0.591, 0.071, 0.365], [0.591, 0.943, 0.423], [0.592, 0.277, 0.759], [0.596, 0.403, 0.700], [0.618, 0.259, 0.078], [0.619, 0.427, 0.104], [0.619, 0.761, 0.425], [0.620, 0.589, 0.415], [0.620, 0.596, 0.695], [0.625, 0.260, 0.362], [0.626, 0.751, 0.138], [0.626, 0.926, 0.745], [0.627, 0.081, 0.759], [0.628, 0.923, 0.030], [0.635, 0.082, 0.470], [0.636, 0.416, 0.804], [0.690, 0.501, 0.592], [0.690, 0.831, 0.926], [0.691, 0.826, 0.642], [0.693, 0.183, 0.861], [0.694, 0.162, 0.262], [0.695, 0.162, 0.976], [0.696, 0.859, 0.530], [0.699, 0.855, 0.245], [0.703, 0.520, 0.910], [0.704, 0.183, 0.577], [0.706, 0.517, 0.200], [0.708, 0.488, 0.304], [0.816, 0.988, 0.804], [0.818, 0.017, 0.699], [0.818, 0.686, 0.080], [0.822, 0.019, 0.409], [0.825, 0.352, 0.745], [0.826, 0.668, 0.762], [0.829, 0.359, 0.030], [0.830, 0.000, 0.093], [0.830, 0.684, 0.361], [0.831, 0.326, 0.143], [0.831, 0.663, 0.476], [0.836, 0.330, 0.424], [0.890, 0.249, 0.638], [0.892, 0.918, 0.304], [0.893, 0.582, 0.971], [0.896, 0.424, 0.529], [0.897, 0.581, 0.259], [0.898, 0.426, 0.245], [0.899, 0.759, 0.862], [0.904, 0.088, 0.915], [0.904, 0.927, 0.603], [0.905, 0.260, 0.925], [0.905, 0.759, 0.577], [0.911, 0.094, 0.197], [0.931, 0.778, 0.259], [0.931, 0.904, 0.200], [0.932, 0.107, 0.596], [0.935, 0.444, 0.925], [0.935, 0.571, 0.867], [0.937, 0.765, 0.976], [0.938, 0.232, 0.534], [0.940, 0.434, 0.641], [0.946, 0.101, 0.309], [0.952, 0.247, 0.245], [0.953, 0.911, 0.913], [0.955, 0.577, 0.573]]
}

***

Record 6
{
  "formula": "Cs2Mn3Se4",
  "functional": "PBE",
  "state": "optimized geometry",
  "space_group": "No. 72",
  "lattice_angstrom": [[-3.166, 6.118, 7.372], [3.166, -6.118, 7.372], [3.166, 6.118, -7.372]],
  "species": ["Cs", "Cs", "Cs", "Cs", "Mn", "Mn", "Mn", "Mn", "Mn", "Mn", "Se", "Se", "Se", "Se", "Se", "Se", "Se", "Se"],
  "fractional_positions": [[0.121, 0.235, 0.356], [0.379, 0.735, 0.114], [0.621, 0.265, 0.886], [0.879, 0.765, 0.644], [0.020, 0.250, 0.770], [0.250, 0.750, 0.500], [0.480, 0.250, 0.230], [0.520, 0.750, 0.770], [0.750, 0.250, 0.500], [0.980, 0.750, 0.230], [0.019, 0.432, 0.146], [0.214, 0.068, 0.587], [0.286, 0.873, 0.854], [0.481, 0.627, 0.413], [0.519, 0.373, 0.587], [0.714, 0.127, 0.146], [0.786, 0.932, 0.413], [0.981, 0.568, 0.854]]
}

***

Number 1: E_form -0.231 eV/atom. Number 2: E_form -0.516 eV/atom. Number 3: E_form -0.639 eV/atom. Number 4: E_form -0.500 eV/atom. Number 5: E_form -2.884 eV/atom. Number 6: E_form -0.940 eV/atom.